1.
Density functional theory data (PBE) for crystalline Na6Nb16Zn8Si15S21O144 at its relaxed geometry.

Summary:
- Density: 2.95 g cm⁻³
- Space group: No. 1
- MP2020-corrected energy: -1573.2 eV per cell
- Formation energy from the elements: -2442 meV per atom

Cell: 17.718 8.864 22.918 Å, 90.03 89.65 119.98°
Fractional coordinates of all 210 atoms:
Na  0.998  0.997  0.498
Na  0.499  0.001  0.001
Na  0.333  0.332  0.843
Na  0.835  0.330  0.841
Na  0.336  0.340  0.340
Na  0.834  0.341  0.340
Nb  0.496  0.997  0.359
Nb  0.995  0.992  0.860
Nb  0.504  0.996  0.646
Nb  0.995  0.000  0.149
Nb  0.331  0.341  0.686
Nb  0.836  0.341  0.693
Nb  0.334  0.332  0.193
Nb  0.833  0.326  0.190
Nb  0.163  0.665  0.020
Nb  0.667  0.669  0.027
Nb  0.165  0.662  0.524
Nb  0.664  0.662  0.516
Nb  0.164  0.665  0.303
Nb  0.663  0.646  0.310
Nb  0.161  0.671  0.814
Nb  0.664  0.666  0.804
Zn  0.998  0.995  0.340
Zn  0.504  0.995  0.848
Zn  0.993  0.982  0.653
Zn  0.494  0.004  0.154
Zn  0.328  0.321  0.980
Zn  0.841  0.327  0.981
Zn  0.341  0.356  0.479
Zn  0.830  0.338  0.479
Si  0.139  0.002  0.252
Si  0.361  0.720  0.249
Si  0.856  0.711  0.254
Si  0.997  0.278  0.254
Si  0.501  0.278  0.247
Si  0.640  0.279  0.752
Si  0.004  0.726  0.748
Si  0.495  0.711  0.753
Si  0.861  0.002  0.749
Si  0.334  0.626  0.580
Si  0.837  0.051  0.081
Si  0.017  0.376  0.917
Si  0.172  0.968  0.917
Si  0.671  0.374  0.416
Si  0.519  0.659  0.414
S  0.643  0.998  0.250
S  0.144  0.289  0.750
S  0.356  0.000  0.750
S  0.477  0.332  0.583
S  0.975  0.327  0.581
S  0.188  0.048  0.580
S  0.692  0.046  0.583
S  0.835  0.624  0.581
S  0.474  0.623  0.081
S  0.977  0.622  0.082
S  0.335  0.045  0.081
S  0.190  0.334  0.083
S  0.688  0.326  0.080
S  0.313  0.671  0.917
S  0.806  0.660  0.917
S  0.523  0.378  0.917
S  0.665  0.951  0.917
S  0.306  0.952  0.417
S  0.814  0.959  0.417
S  0.165  0.376  0.417
S  0.024  0.668  0.417
O  0.113  0.053  0.311
O  0.604  0.034  0.302
O  0.419  0.803  0.307
O  0.912  0.769  0.310
O  0.483  0.160  0.307
O  0.973  0.172  0.312
O  0.106  0.179  0.802
O  0.608  0.171  0.810
O  0.469  0.774  0.810
O  0.985  0.807  0.807
O  0.407  0.040  0.803
O  0.920  0.035  0.808
O  0.398  0.976  0.697
O  0.893  0.966  0.689
O  0.097  0.223  0.697
O  0.581  0.195  0.693
O  0.026  0.831  0.689
O  0.512  0.832  0.694
O  0.392  0.818  0.189
O  0.903  0.832  0.195
O  0.015  0.198  0.194
O  0.525  0.220  0.189
O  0.083  0.969  0.192
O  0.596  0.970  0.197
O  0.433  0.358  0.636
O  0.937  0.361  0.634
O  0.243  0.124  0.634
O  0.744  0.129  0.636
O  0.318  0.498  0.639
O  0.822  0.515  0.635
O  0.438  0.514  0.134
O  0.936  0.511  0.135
O  0.321  0.126  0.134
O  0.817  0.139  0.139
O  0.246  0.363  0.135
O  0.741  0.364  0.133
O  0.228  0.308  0.030
O  0.731  0.313  0.028
O  0.423  0.540  0.029
O  0.926  0.551  0.030
O  0.346  0.151  0.029
O  0.851  0.158  0.024
O  0.232  0.151  0.529
O  0.726  0.149  0.531
O  0.353  0.542  0.527
O  0.846  0.539  0.530
O  0.426  0.298  0.531
O  0.923  0.306  0.529
O  0.265  0.688  0.971
O  0.765  0.689  0.970
O  0.082  0.474  0.974
O  0.579  0.470  0.970
O  0.156  0.834  0.973
O  0.658  0.839  0.971
O  0.265  0.842  0.470
O  0.764  0.842  0.472
O  0.159  0.479  0.471
O  0.655  0.475  0.473
O  0.080  0.683  0.470
O  0.582  0.690  0.474
O  0.069  0.650  0.365
O  0.578  0.653  0.361
O  0.254  0.865  0.365
O  0.759  0.874  0.366
O  0.175  0.488  0.365
O  0.682  0.501  0.360
O  0.075  0.501  0.861
O  0.569  0.488  0.864
O  0.182  0.860  0.861
O  0.674  0.860  0.865
O  0.259  0.648  0.864
O  0.754  0.644  0.865
O  0.019  0.827  0.417
O  0.516  0.840  0.406
O  0.393  0.963  0.412
O  0.897  0.964  0.418
O  0.084  0.211  0.418
O  0.580  0.191  0.406
O  0.017  0.193  0.906
O  0.515  0.206  0.914
O  0.081  0.969  0.905
O  0.584  0.957  0.918
O  0.397  0.833  0.915
O  0.893  0.824  0.912
O  0.489  0.181  0.595
O  0.993  0.185  0.588
O  0.101  0.025  0.588
O  0.601  0.023  0.593
O  0.413  0.819  0.599
O  0.911  0.799  0.586
O  0.493  0.802  0.088
O  0.992  0.800  0.092
O  0.410  0.019  0.086
O  0.917  0.015  0.094
O  0.102  0.182  0.092
O  0.600  0.178  0.087
O  0.341  0.152  0.738
O  0.844  0.171  0.740
O  0.235  0.302  0.743
O  0.739  0.314  0.735
O  0.415  0.510  0.736
O  0.917  0.525  0.741
O  0.344  0.517  0.240
O  0.838  0.515  0.234
O  0.415  0.307  0.240
O  0.916  0.317  0.238
O  0.239  0.163  0.235
O  0.733  0.164  0.244
O  0.320  0.514  0.923
O  0.817  0.509  0.923
O  0.439  0.371  0.922
O  0.926  0.368  0.917
O  0.256  0.154  0.920
O  0.743  0.123  0.921
O  0.316  0.124  0.424
O  0.819  0.128  0.425
O  0.243  0.362  0.422
O  0.756  0.356  0.421
O  0.426  0.486  0.417
O  0.940  0.507  0.423
O  0.182  0.495  0.076
O  0.678  0.491  0.071
O  0.066  0.637  0.076
O  0.565  0.634  0.072
O  0.253  0.867  0.074
O  0.748  0.851  0.071
O  0.179  0.868  0.573
O  0.679  0.867  0.578
O  0.247  0.645  0.572
O  0.753  0.638  0.575
O  0.064  0.495  0.573
O  0.565  0.492  0.578
O  0.156  0.835  0.261
O  0.660  0.853  0.261
O  0.263  0.686  0.267
O  0.761  0.699  0.259
O  0.082  0.476  0.260
O  0.579  0.478  0.261
O  0.163  0.470  0.761
O  0.656  0.479  0.761
O  0.083  0.684  0.762
O  0.581  0.689  0.760
O  0.269  0.841  0.756
O  0.763  0.841  0.767

2.
Density functional theory data (PBE) for crystalline K2TlInF6 at its relaxed geometry.

Summary:
- Density: 4.01 g cm⁻³
- Space group: No. 225
- MP2020-corrected energy: -46.1 eV per cell
- Formation energy from the elements: -2727 meV per atom

Cell: 6.690 6.690 6.690 Å, 60.00 60.00 60.00°
Fractional coordinates of all 10 atoms:
K  0.750  0.750  0.750
K  0.250  0.250  0.250
Tl  0.000  0.000  0.000
In  0.500  0.500  0.500
F  0.723  0.277  0.277
F  0.277  0.277  0.723
F  0.277  0.723  0.723
F  0.277  0.723  0.277
F  0.723  0.277  0.723
F  0.723  0.723  0.277

formation energy from the elements of number 1 (Na6Nb16Zn8Si15S21O144)?
-2442 meV per atom